! NpSi2Pt2 meta-GGA r2SCAN relaxed; values from VASP
! energy relative to the elements: -1.006 eV per atom
! space group: P4/nmm
! calculated total energy: -41.716 eV per atom
! magnetization: 7.40 Bohr magnetons per cell
&SYSTEM
  ibrav = 0, nat = 10, ntyp = 3
/
ATOMIC_SPECIES
Np 237.00 Np.upf
Si 28.09 Si.upf
Pt 195.08 Pt.upf
CELL_PARAMETERS angstrom
4.1860 0.0000 0.0000
0.0000 4.1860 0.0000
0.0000 0.0000 9.8923
ATOMIC_POSITIONS angstrom
Np 1.0465 1.0465 7.3867
Np 3.1395 3.1395 2.5056
Si 1.0465 1.0465 1.3303
Si 3.1395 3.1395 8.5620
Si 1.0465 3.1395 4.9462
Si 3.1395 1.0465 4.9462
Pt 1.0465 1.0465 3.7302
Pt 3.1395 3.1395 6.1621
Pt 1.0465 3.1395 0.0000
Pt 3.1395 1.0465 0.0000